Entry 1:
This record from Materials Project describes an optimized crystal structure of HoMn2Si2. The functional is GGA-PBE.

ΔH_f (0 K) (kJ per mole of atoms): -58.4

```
data_HoMn2Si2
_cell_length_a 3.8859
_cell_length_b 3.8859
_cell_length_c 10.2955
_cell_angle_alpha 90.00
_cell_angle_beta 90.00
_cell_angle_gamma 90.00
_space_group_name_H-M_alt 'I 4/m m m'
_space_group_IT_number 139
_space_group_name_Hall '-I 4 2'
loop_
_atom_site_label
_atom_site_fract_x
_atom_site_fract_y
_atom_site_fract_z
Ho1 0.0000 0.0000 0.0000
Mn1 0.0000 0.5000 0.2500
Si1 0.0000 0.0000 0.3801
```

---

Entry 2:
This record from Materials Project describes an optimized crystal structure of Sr2PtN2. The functional is GGA-PBE.

Spin magnetization (μB per atom): 0.08
ΔH_f (0 K) (kJ per mole of atoms): -69.5

```
data_Sr2PtN2
_cell_length_a 3.8845
_cell_length_b 3.8845
_cell_length_c 12.8614
_cell_angle_alpha 90.00
_cell_angle_beta 90.00
_cell_angle_gamma 90.00
_space_group_name_H-M_alt 'I 4/m m m'
_space_group_IT_number 139
_space_group_name_Hall '-I 4 2'
loop_
_atom_site_label
_atom_site_fract_x
_atom_site_fract_y
_atom_site_fract_z
Sr1 0.0000 0.0000 0.1494
Pt1 0.0000 0.0000 0.5000
N1 0.0000 0.0000 0.3503
```

---

Entry 3:
This record from Materials Project describes an optimized crystal structure of ErH2. The functional is GGA-PBE.

Spin magnetization (μB per atom): 0.00
ΔH_f (0 K) (kJ per mole of atoms): -58.2

```
data_ErH2
_cell_length_a 3.5356
_cell_length_b 3.5356
_cell_length_c 6.3162
_cell_angle_alpha 90.00
_cell_angle_beta 90.00
_cell_angle_gamma 120.00
_space_group_name_H-M_alt 'P 63/m m c'
_space_group_IT_number 194
_space_group_name_Hall '-P 6c 2c'
loop_
_atom_site_label
_atom_site_fract_x
_atom_site_fract_y
_atom_site_fract_z
Er1 0.3333 0.6667 0.2500
H1 0.3333 0.6667 0.5939
```

---

Entry 4:
This record from Materials Project describes an optimized crystal structure of Ag2O3. The functional is GGA-PBE.

Maximum piezoelectric response (C/m²): 0.53
ΔH_f (0 K) (kJ per mole of atoms): -34.7

```
data_Ag2O3
_cell_length_a 10.6950
_cell_length_b 13.1421
_cell_length_c 3.7830
_cell_angle_alpha 90.00
_cell_angle_beta 90.00
_cell_angle_gamma 90.00
_space_group_name_H-M_alt 'F d d 2'
_space_group_IT_number 43
_space_group_name_Hall 'F 2 -2d'
loop_
_atom_site_label
_atom_site_fract_x
_atom_site_fract_y
_atom_site_fract_z
Ag1 0.1170 0.2971 0.0000
O1 0.0000 0.0000 0.4159
O2 0.0167 0.1677 0.8829
```

---

Entry 5:
This record from Materials Project describes an optimized crystal structure of Tb2MgGe2. The functional is GGA-PBE.

ΔH_f (0 K) (kJ per mole of atoms): -75.2

```
data_Tb2MgGe2
_cell_length_a 7.2947
_cell_length_b 7.2947
_cell_length_c 4.2789
_cell_angle_alpha 90.00
_cell_angle_beta 90.00
_cell_angle_gamma 90.00
_space_group_name_H-M_alt 'P 4/m b m'
_space_group_IT_number 127
_space_group_name_Hall '-P 4 2ab'
loop_
_atom_site_label
_atom_site_fract_x
_atom_site_fract_y
_atom_site_fract_z
Tb1 0.1777 0.3223 0.0000
Mg1 0.0000 0.0000 0.5000
Ge1 0.1235 0.6235 0.5000
```

---

Entry 6:
This record from Materials Project describes an optimized crystal structure of AgBiSe2. The functional is GGA-PBE.

Spin magnetization (μB per atom): 0.00
ΔH_f (0 K) (kJ per mole of atoms): -37.7

```
data_AgBiSe2
_cell_length_a 4.1605
_cell_length_b 4.1605
_cell_length_c 5.8934
_cell_angle_alpha 90.00
_cell_angle_beta 90.00
_cell_angle_gamma 90.00
_space_group_name_H-M_alt 'P 4/m m m'
_space_group_IT_number 123
_space_group_name_Hall '-P 4 2'
loop_
_atom_site_label
_atom_site_fract_x
_atom_site_fract_y
_atom_site_fract_z
Ag1 0.0000 0.0000 0.0000
Bi1 0.5000 0.5000 0.5000
Se1 0.0000 0.0000 0.5000
Se2 0.5000 0.5000 0.0000
```